Version P
This record from the Materials Project describes an optimized crystal structure of Na2CoP2O7. The functional is GGA+U.

Computed properties:
Space-group type   Pna2_1

Cell lengths 7.803, 10.438, 15.637 Å; angles 90.00, 90.00, 90.00 degrees
Atoms (fractional coordinates):
Na (0.667, 0.237, 0.196)
Na (0.167, 0.763, 0.804)
Na (0.167, 0.737, 0.304)
Na (0.667, 0.263, 0.696)
Na (0.384, 0.250, 0.552)
Na (0.884, 0.750, 0.448)
Na (0.884, 0.750, 0.948)
Na (0.384, 0.250, 0.052)
Na (0.218, 0.234, 0.274)
Na (0.718, 0.766, 0.726)
Na (0.718, 0.734, 0.226)
Na (0.218, 0.266, 0.774)
Na (0.828, 0.253, 0.475)
Na (0.328, 0.747, 0.525)
Na (0.328, 0.753, 0.025)
Na (0.828, 0.247, 0.975)
Co (0.511, 0.995, 0.371)
Co (0.011, 0.005, 0.629)
Co (0.011, 0.495, 0.129)
Co (0.511, 0.505, 0.871)
Co (0.537, 0.497, 0.381)
Co (0.037, 0.503, 0.619)
Co (0.037, 0.997, 0.119)
Co (0.537, 0.003, 0.881)
P (0.887, 0.450, 0.309)
P (0.387, 0.550, 0.691)
P (0.387, 0.950, 0.191)
P (0.887, 0.050, 0.809)
P (0.173, 0.455, 0.438)
P (0.673, 0.545, 0.562)
P (0.673, 0.955, 0.062)
P (0.173, 0.045, 0.938)
P (0.148, 0.034, 0.447)
P (0.648, 0.966, 0.553)
P (0.648, 0.534, 0.053)
P (0.148, 0.466, 0.947)
P (0.886, 0.023, 0.304)
P (0.386, 0.977, 0.696)
P (0.386, 0.523, 0.196)
P (0.886, 0.477, 0.804)
O (0.061, 0.398, 0.357)
O (0.561, 0.602, 0.643)
O (0.561, 0.898, 0.143)
O (0.061, 0.102, 0.857)
O (0.738, 0.385, 0.357)
O (0.238, 0.615, 0.643)
O (0.238, 0.885, 0.143)
O (0.738, 0.115, 0.857)
O (0.906, 0.389, 0.220)
O (0.406, 0.611, 0.780)
O (0.406, 0.889, 0.280)
O (0.906, 0.111, 0.720)
O (0.882, 0.595, 0.312)
O (0.382, 0.405, 0.688)
O (0.382, 0.095, 0.188)
O (0.882, 0.905, 0.812)
O (0.175, 0.600, 0.435)
O (0.675, 0.400, 0.565)
O (0.675, 0.100, 0.065)
O (0.175, 0.900, 0.935)
O (0.347, 0.389, 0.423)
O (0.847, 0.611, 0.577)
O (0.847, 0.889, 0.077)
O (0.347, 0.111, 0.923)
O (0.088, 0.395, 0.518)
O (0.588, 0.605, 0.482)
O (0.588, 0.895, 0.982)
O (0.088, 0.105, 0.018)
O (0.985, 0.082, 0.389)
O (0.485, 0.918, 0.611)
O (0.485, 0.582, 0.111)
O (0.985, 0.418, 0.889)
O (0.110, 0.102, 0.533)
O (0.610, 0.898, 0.467)
O (0.610, 0.602, 0.967)
O (0.110, 0.398, 0.033)
O (0.148, 0.889, 0.452)
O (0.648, 0.111, 0.548)
O (0.648, 0.389, 0.048)
O (0.148, 0.611, 0.952)
O (0.306, 0.096, 0.405)
O (0.806, 0.904, 0.595)
O (0.806, 0.596, 0.095)
O (0.306, 0.404, 0.905)
O (0.706, 0.082, 0.314)
O (0.206, 0.918, 0.686)
O (0.206, 0.582, 0.186)
O (0.706, 0.418, 0.814)
O (0.978, 0.087, 0.228)
O (0.478, 0.913, 0.772)
O (0.478, 0.587, 0.272)
O (0.978, 0.413, 0.728)
O (0.894, 0.878, 0.306)
O (0.394, 0.122, 0.694)
O (0.394, 0.378, 0.194)
O (0.894, 0.622, 0.806)

=====

Version Q
This record from the Materials Project describes an optimized crystal structure of Na2CoP2O7. The functional is GGA+U.

Computed properties:
Space-group type   P1

Cell lengths 6.546, 9.553, 11.069 Å; angles 64.68, 85.93, 73.43 degrees
Atoms (fractional coordinates):
Na (0.780, 0.148, 0.890)
Na (0.603, 0.877, 0.650)
Na (0.035, 0.813, 0.478)
Na (0.844, 0.488, 0.946)
Na (0.394, 0.506, 0.034)
Na (0.968, 0.184, 0.522)
Na (0.389, 0.124, 0.349)
Na (0.174, 0.854, 0.097)
Co (0.281, 0.105, 0.781)
Co (0.720, 0.888, 0.224)
Co (0.643, 0.499, 0.266)
Co (0.363, 0.493, 0.740)
P (0.120, 0.545, 0.316)
P (0.883, 0.445, 0.690)
P (0.922, 0.178, 0.209)
P (0.423, 0.297, 0.543)
P (0.707, 0.806, 0.963)
P (0.079, 0.817, 0.792)
P (0.579, 0.697, 0.461)
P (0.299, 0.183, 0.041)
O (0.227, 0.101, 0.967)
O (0.722, 0.321, 0.186)
O (0.084, 0.270, 0.098)
O (0.308, 0.538, 0.224)
O (0.968, 0.455, 0.305)
O (0.016, 0.718, 0.300)
O (0.283, 0.679, 0.809)
O (0.358, 0.144, 0.563)
O (0.036, 0.097, 0.347)
O (0.783, 0.545, 0.537)
O (0.621, 0.663, 0.049)
O (0.886, 0.060, 0.159)
O (0.444, 0.292, 0.684)
O (0.614, 0.318, 0.458)
O (0.959, 0.898, 0.656)
O (0.035, 0.529, 0.712)
O (0.778, 0.886, 0.039)
O (0.639, 0.851, 0.441)
O (0.388, 0.323, 0.950)
O (0.389, 0.673, 0.547)
O (0.563, 0.699, 0.322)
O (0.924, 0.721, 0.905)
O (0.438, 0.063, 0.168)
O (0.114, 0.934, 0.843)
O (0.567, 0.929, 0.836)
O (0.695, 0.451, 0.783)
O (0.224, 0.452, 0.469)
O (0.984, 0.274, 0.703)

=====

We find version P to be the most stable, with the next structure 27 meV per atom higher.

=====

Version P
This record from the Materials Project describes an optimized crystal structure of Li2VOF4. The functional is GGA+U.

Computed properties:
Space-group type   P1

Cell lengths 5.048, 7.220, 10.346 Å; angles 108.97, 89.78, 91.14 degrees
Atoms (fractional coordinates):
Li (0.493, 0.885, 0.138)
Li (0.033, 0.852, 0.660)
Li (0.036, 0.629, 0.313)
Li (0.468, 0.640, 0.813)
Li (0.477, 0.368, 0.157)
Li (0.016, 0.383, 0.659)
Li (0.997, 0.116, 0.362)
Li (0.510, 0.118, 0.854)
V (0.518, 0.973, 0.499)
V (0.013, 0.034, 0.005)
V (0.536, 0.484, 0.489)
V (0.969, 0.534, 0.001)
O (0.650, 0.755, 0.500)
O (0.840, 0.751, 0.000)
O (0.153, 0.253, 0.010)
O (0.789, 0.367, 0.401)
F (0.651, 0.966, 0.322)
F (0.177, 0.878, 0.415)
F (0.840, 0.964, 0.827)
F (0.274, 0.638, 0.117)
F (0.316, 0.881, 0.915)
F (0.795, 0.525, 0.166)
F (0.227, 0.611, 0.615)
F (0.307, 0.464, 0.332)
F (0.703, 0.535, 0.670)
F (0.185, 0.473, 0.837)
F (0.673, 0.121, 0.088)
F (0.337, 0.240, 0.503)
F (0.705, 0.358, 0.895)
F (0.155, 0.034, 0.180)
F (0.815, 0.137, 0.580)
F (0.341, 0.032, 0.676)

=====

Version Q
This record from the Materials Project describes an optimized crystal structure of Li2VOF4. The functional is GGA+U.

Computed properties:
Space-group type   Cmcm

Cell lengths 3.628, 5.478, 10.257 Å; angles 90.00, 90.00, 109.34 degrees
Atoms (fractional coordinates):
Li (0.124, 0.249, 0.937)
Li (0.124, 0.249, 0.563)
Li (0.876, 0.751, 0.063)
Li (0.876, 0.751, 0.437)
V (0.813, 0.625, 0.750)
V (0.187, 0.375, 0.250)
O (0.293, 0.586, 0.750)
O (0.707, 0.414, 0.250)
F (0.315, 0.630, 0.398)
F (0.315, 0.630, 0.102)
F (0.685, 0.370, 0.898)
F (0.685, 0.370, 0.602)
F (0.057, 0.113, 0.384)
F (0.057, 0.113, 0.116)
F (0.943, 0.887, 0.617)
F (0.943, 0.887, 0.883)

=====

We find version Q to be the most stable, with the next structure 17 meV per atom higher.